Entry 1:
{"formula": "Tb2Ti3Si4", "functional": "PBE", "state": "relaxed", "sg": "P4_12_12 (92)", "dft_energy_ev_per_atom": -6.875, "lattice_angstrom": [[-2.414, -1.735, 6.414], [6.449, 1.035, 2.707], [-2.948, 12.457, 2.259]], "species": ["Tb", "Tb", "Tb", "Tb", "Tb", "Tb", "Tb", "Tb", "Si", "Si", "Si", "Si", "Si", "Si", "Si", "Si", "Si", "Si", "Si", "Si", "Si", "Si", "Si", "Si", "Ti", "Ti", "Ti", "Ti", "Ti", "Ti", "Ti", "Ti", "Ti", "Ti", "Ti", "Ti"], "fractional_positions": [[0.497, 0.840, 0.717], [0.160, 0.503, 0.783], [0.003, 0.340, 0.533], [0.840, 0.497, 0.283], [0.660, 0.997, 0.967], [0.503, 0.160, 0.217], [0.340, 0.003, 0.467], [0.997, 0.660, 0.033], [0.871, 0.798, 0.815], [0.954, 0.291, 0.935], [0.791, 0.546, 0.685], [0.129, 0.202, 0.315], [0.454, 0.209, 0.815], [0.291, 0.954, 0.065], [0.546, 0.791, 0.315], [0.709, 0.046, 0.565], [0.629, 0.298, 0.435], [0.202, 0.129, 0.685], [0.702, 0.371, 0.065], [0.046, 0.709, 0.435], [0.298, 0.629, 0.565], [0.371, 0.702, 0.935], [0.798, 0.871, 0.185], [0.209, 0.454, 0.185], [0.827, 0.173, 0.750], [0.653, 0.491, 0.873], [0.847, 0.991, 0.377], [0.491, 0.653, 0.127], [0.009, 0.153, 0.123], [0.153, 0.009, 0.877], [0.509, 0.347, 0.627], [0.991, 0.847, 0.623], [0.347, 0.509, 0.373], [0.673, 0.673, 0.500], [0.327, 0.327, 0.000], [0.173, 0.827, 0.250]]}

Entry 2:
{"formula": "Mg6AlC", "functional": "PBE", "state": "relaxed", "relative_energy_ev_per_atom": 0.238, "lattice_angstrom": [[-2.848, 0.316, 4.073], [-1.763, -5.570, -0.800], [7.912, -3.337, 5.791]], "species": ["Al", "Al", "Mg", "Mg", "Mg", "Mg", "Mg", "Mg", "Mg", "Mg", "Mg", "Mg", "Mg", "Mg", "C", "C"], "fractional_positions": [[0.000, 0.000, 0.831], [0.000, 0.500, 0.331], [0.000, 0.740, 0.088], [0.000, 0.760, 0.588], [0.000, 0.500, 0.833], [0.500, 0.500, 0.667], [0.000, 0.240, 0.588], [0.500, 0.247, 0.914], [0.000, 0.000, 0.333], [0.500, 0.000, 0.167], [0.500, 0.747, 0.414], [0.500, 0.253, 0.414], [0.000, 0.260, 0.088], [0.500, 0.753, 0.914], [0.500, 0.500, 0.165], [0.500, 0.000, 0.665]]}

Entry 3:
{"formula": "LiTiSiO4", "functional": "PBE", "state": "relaxed", "sg": "Pnma (62)", "relative_energy_ev_per_atom": 0.019, "lattice_angstrom": [[-2.665, 1.703, 3.848], [-0.020, -5.586, 2.458], [7.908, 1.993, 4.594]], "species": ["O", "O", "O", "O", "O", "O", "O", "O", "O", "O", "O", "O", "O", "O", "O", "O", "Li", "Li", "Li", "Li", "Ti", "Ti", "Ti", "Ti", "Si", "Si", "Si", "Si"], "fractional_positions": [[0.328, 0.469, 0.116], [0.172, 0.031, 0.616], [0.401, 0.250, 0.353], [0.901, 0.750, 0.147], [0.099, 0.250, 0.853], [0.828, 0.531, 0.384], [0.202, 0.750, 0.871], [0.828, 0.969, 0.384], [0.599, 0.750, 0.647], [0.172, 0.469, 0.616], [0.672, 0.969, 0.884], [0.328, 0.031, 0.116], [0.702, 0.250, 0.629], [0.672, 0.531, 0.884], [0.298, 0.750, 0.371], [0.798, 0.250, 0.129], [0.520, 0.250, 0.830], [0.980, 0.250, 0.330], [0.020, 0.750, 0.670], [0.480, 0.750, 0.170], [0.000, 0.500, 0.000], [0.500, 0.500, 0.500], [0.500, 0.000, 0.500], [0.000, 0.000, 0.000], [0.525, 0.750, 0.822], [0.025, 0.250, 0.678], [0.475, 0.250, 0.178], [0.975, 0.750, 0.322]]}